P3Ir: relaxed, PBE.

Cell: 8.083 8.083 8.083 Å, 90.00 90.00 90.00°
Space group Im-3 (No. 204)
One atom of each set of equivalent atoms:
P 0.000 0.355 0.139 (multiplicity 24)
Ir 0.250 0.250 0.250 (multiplicity 8)

ρ = 7.17 Mg/m³
E_form = -649 meV per atom